Record 1
## KSbPCO7 (PBE)

Data for crystalline KSbPCO7 at its relaxed geometry.

Geometry as POSCAR:
```
KSbPCO7
1.0
5.7953 0.0000 0.0000
0.0000 6.6544 0.0000
-0.2358 0.0000 10.1376
K Sb P C O
2 2 2 2 14
Direct
0.2360 0.0000 0.2108
0.7640 0.5000 0.7892
0.2155 0.8393 0.6391
0.7845 0.3393 0.3609
0.2747 0.3339 0.5584
0.7253 0.8339 0.4416
0.2825 0.7991 0.8884
0.7175 0.2991 0.1116
0.0748 0.8164 0.8255
0.1477 0.3247 0.4219
0.1954 0.5189 0.6406
0.2016 0.1562 0.6499
0.3082 0.7734 0.0079
0.4557 0.8114 0.8021
0.4619 0.8385 0.4600
0.5381 0.3385 0.5400
0.5443 0.3114 0.1979
0.6918 0.2734 0.9921
0.7984 0.6562 0.3501
0.8046 0.0189 0.3594
0.8523 0.8247 0.5781
0.9252 0.3164 0.1745
```

## Properties
Formation energy from the elements   -205.9 kJ per mole of atoms
Space group   P2_1 (4)
Raw total energy   -6.65 eV per atom

---

Record 2
## Rb2NaGdCl6 (PBE)

Data for crystalline Rb2NaGdCl6 at its relaxed geometry.

Geometry as POSCAR:
```
Rb2NaGdCl6
1.0
0.0000 5.4262 5.4262
5.4262 0.0000 5.4262
5.4262 5.4262 0.0000
Rb Na Gd Cl
2 1 1 6
Direct
0.2500 0.2500 0.2500
0.7500 0.7500 0.7500
0.0000 0.0000 0.0000
0.5000 0.5000 0.5000
0.2546 0.2546 0.7454
0.2546 0.7454 0.2546
0.2546 0.7454 0.7454
0.7454 0.2546 0.2546
0.7454 0.2546 0.7454
0.7454 0.7454 0.2546
```

## Properties
Formation energy from the elements   -236.9 kJ per mole of atoms
Space group   Fm-3m (225)
Raw total energy   -4.93 eV per atom

---

Record 3
## CrPS4 (PBE)

Data for crystalline CrPS4 at its relaxed geometry.

Geometry as POSCAR:
```
CrPS4
1.0
5.4445 -3.6671 0.0000
5.4445 3.6671 0.0000
-0.2273 0.0000 6.6661
Cr P S
2 2 8
Direct
0.2453 0.7547 0.0000
0.7547 0.2453 0.0000
0.2026 0.2026 0.8448
0.7974 0.7974 0.1552
0.0994 0.6339 0.2782
0.1291 0.1291 0.1315
0.3661 0.9006 0.7218
0.3951 0.3951 0.8231
0.6049 0.6049 0.1769
0.6339 0.0994 0.2782
0.8709 0.8709 0.8685
0.9006 0.3661 0.7218
```

## Properties
Formation energy from the elements   -56.9 kJ per mole of atoms
Space group   C2/m (12)
Raw total energy   -5.52 eV per atom

---

Record 4
## Ho3InS6 (PBE)

Data for crystalline Ho3InS6 at its relaxed geometry.

Geometry as POSCAR:
```
Ho3InS6
1.0
13.3957 0.0000 0.0000
0.0000 16.5479 0.0000
0.0000 0.0000 3.8580
Ho In S
12 4 24
Direct
0.0363 0.2232 0.2459
0.1904 0.6439 0.2471
0.2466 0.3892 0.2366
0.2534 0.8892 0.7634
0.3096 0.1439 0.7529
0.4637 0.7232 0.7541
0.5363 0.2768 0.7541
0.6904 0.8561 0.7529
0.7466 0.1108 0.7634
0.7534 0.6108 0.2366
0.8096 0.3561 0.2471
0.9637 0.7768 0.2459
0.0000 0.0000 0.8972
0.0000 0.5000 0.7484
0.5000 0.0000 0.2516
0.5000 0.5000 0.1028
0.0206 0.3937 0.2471
0.1036 0.9062 0.2699
0.1081 0.1154 0.7476
0.1152 0.7439 0.7488
0.1791 0.2829 0.7410
0.1930 0.5194 0.7464
0.3070 0.0194 0.2536
0.3209 0.7829 0.2590
0.3848 0.2439 0.2512
0.3919 0.6154 0.2524
0.3964 0.4062 0.7301
0.4794 0.8937 0.7529
0.5206 0.1063 0.7529
0.6036 0.5938 0.7301
0.6081 0.3846 0.2524
0.6152 0.7561 0.2512
0.6791 0.2171 0.2590
0.6930 0.9806 0.2536
0.8070 0.4806 0.7464
0.8209 0.7171 0.7410
0.8848 0.2561 0.7488
0.8919 0.8846 0.7476
0.8964 0.0938 0.2699
0.9794 0.6063 0.2471
```

## Properties
Formation energy from the elements   -190.1 kJ per mole of atoms
Space group   P2_12_12 (18)
Raw total energy   -5.80 eV per atom

---

Record 5
## ZrB2Mo3C2 (PBE)

Data for crystalline ZrB2Mo3C2 at its relaxed geometry.

Geometry as POSCAR:
```
ZrB2Mo3C2
1.0
3.1614 0.0000 0.0000
0.0000 3.1953 0.0000
0.0000 0.0000 17.6666
Zr B Mo C
2 4 6 4
Direct
0.0000 0.0000 0.0000
0.0000 0.5000 0.5000
0.0000 0.0000 0.8422
0.0000 0.5000 0.3422
0.5000 0.0000 0.7852
0.5000 0.5000 0.2852
0.0000 0.0000 0.2425
0.0000 0.5000 0.7425
0.5000 0.0000 0.3807
0.5000 0.0000 0.6261
0.5000 0.5000 0.1261
0.5000 0.5000 0.8807
0.0000 0.0000 0.1275
0.0000 0.5000 0.6275
0.5000 0.0000 0.5044
0.5000 0.5000 0.0044
```

## Properties
Formation energy from the elements   -41.2 kJ per mole of atoms
Space group   Amm2 (38)
Raw total energy   -9.54 eV per atom

---

Record 6
## Ho2MgSe4 (PBE)

Data for crystalline Ho2MgSe4 at its relaxed geometry.

Geometry as POSCAR:
```
Ho2MgSe4
1.0
13.1040 0.0000 0.0000
0.0000 4.0057 0.0000
0.0000 0.0000 14.0456
Ho Mg Se
8 4 16
Direct
0.1153 0.2500 0.0743
0.1432 0.2500 0.7029
0.3568 0.7500 0.2029
0.3847 0.7500 0.5743
0.6153 0.2500 0.4257
0.6432 0.2500 0.7971
0.8568 0.7500 0.2971
0.8847 0.7500 0.9257
0.1130 0.7500 0.4527
0.3870 0.2500 0.9527
0.6130 0.7500 0.0473
0.8870 0.2500 0.5473
0.0109 0.7500 0.6171
0.0290 0.2500 0.8811
0.2207 0.2500 0.2496
0.2410 0.2500 0.5140
0.2590 0.7500 0.0140
0.2793 0.7500 0.7496
0.4710 0.7500 0.3811
0.4891 0.2500 0.1171
0.5109 0.7500 0.8829
0.5290 0.2500 0.6189
0.7207 0.2500 0.2504
0.7410 0.2500 0.9860
0.7590 0.7500 0.4860
0.7793 0.7500 0.7504
0.9710 0.7500 0.1189
0.9891 0.2500 0.3829
```

## Properties
Offset from the most stable computed form   5.84 kJ per mole of atoms
Formation energy from the elements   -183.4 kJ per mole of atoms
Space group   Pnma (62)
Raw total energy   -5.17 eV per atom

---

Record 7
## InRe4C14I3O14 (PBE)

Data for crystalline InRe4C14I3O14 at its relaxed geometry.

Geometry as POSCAR:
```
InRe4C14I3O14
1.0
8.2733 -6.0427 0.0000
8.2733 6.0427 0.0000
-7.1811 0.0000 14.8869
In Re C I O
2 8 28 6 28
Direct
0.1003 0.8997 0.7500
0.8997 0.1003 0.2500
0.0031 0.1984 0.8134
0.1984 0.0031 0.3134
0.2654 0.6664 0.8284
0.3336 0.7346 0.6716
0.6664 0.2654 0.3284
0.7346 0.3336 0.1716
0.8016 0.9969 0.6866
0.9969 0.8016 0.1866
0.0086 0.6004 0.1279
0.1161 0.7759 0.8866
0.1262 0.1539 0.9224
0.1366 0.5440 0.7298
0.1539 0.1262 0.4224
0.1632 0.1968 0.7789
0.1968 0.1632 0.2789
0.2140 0.6013 0.5762
0.2241 0.8839 0.6134
0.3169 0.5392 0.9036
0.3987 0.7860 0.9238
0.3996 0.9914 0.3721
0.4560 0.8634 0.7702
0.4608 0.6831 0.5964
0.5392 0.3169 0.4036
0.5440 0.1366 0.2298
0.6004 0.0086 0.6279
0.6013 0.2140 0.0762
0.6831 0.4608 0.0964
0.7759 0.1161 0.3866
0.7860 0.3987 0.4238
0.8032 0.8368 0.7211
0.8368 0.8032 0.2211
0.8461 0.8738 0.5776
0.8634 0.4560 0.2702
0.8738 0.8461 0.0776
0.8839 0.2241 0.1134
0.9914 0.3996 0.8721
0.1906 0.7540 0.3498
0.2460 0.8094 0.1502
0.4893 0.5107 0.7500
0.5107 0.4893 0.2500
0.7540 0.1906 0.8498
0.8094 0.2460 0.6502
0.0155 0.4785 0.0941
0.0312 0.8411 0.9257
0.0610 0.4736 0.6742
0.1285 0.2035 0.4890
0.1516 0.5230 0.5170
0.1589 0.9688 0.5743
0.1991 0.2626 0.2601
0.2035 0.1285 0.9890
0.2626 0.1991 0.7601
0.3434 0.4628 0.9479
0.4628 0.3434 0.4479
0.4736 0.0610 0.1742
0.4770 0.8484 0.9830
0.4785 0.0155 0.5941
0.5215 0.9845 0.4059
0.5230 0.1516 0.0170
0.5264 0.9390 0.8258
0.5372 0.6566 0.5521
0.6566 0.5372 0.0521
0.7374 0.8009 0.2399
0.7965 0.8715 0.0110
0.8009 0.7374 0.7399
0.8411 0.0312 0.4257
0.8484 0.4770 0.4830
0.8715 0.7965 0.5110
0.9390 0.5264 0.3258
0.9688 0.1589 0.0743
0.9845 0.5215 0.9059
```

## Properties
Formation energy from the elements   -90.7 kJ per mole of atoms
Space group   C2/c (15)
Raw total energy   -7.77 eV per atom

---

Record 8
## Ti2C (PBE)

Data for crystalline Ti2C at its relaxed geometry.

Geometry as POSCAR:
```
Ti2C
1.0
0.0000 4.3195 4.3195
4.3195 0.0000 4.3195
4.3195 4.3195 0.0000
Ti C
8 4
Direct
0.2318 0.7561 0.7561
0.2439 0.2439 0.2439
0.2439 0.2439 0.7682
0.2439 0.7682 0.2439
0.7561 0.2318 0.7561
0.7561 0.7561 0.2318
0.7561 0.7561 0.7561
0.7682 0.2439 0.2439
0.0000 0.0000 0.0000
0.0000 0.0000 0.5000
0.0000 0.5000 0.0000
0.5000 0.0000 0.0000
```

## Properties
Formation energy from the elements   -62.1 kJ per mole of atoms
Space group   Fd-3m (227)
Raw total energy   -8.98 eV per atom

---

Question: The lowest raw total energy belongs to which entry?
Answer: ZrB2Mo3C2

---

Please write out number 8 again, unchanged.
## Ti2C (PBE)

Data for crystalline Ti2C at its relaxed geometry.

Geometry as POSCAR:
```
Ti2C
1.0
0.0000 4.3195 4.3195
4.3195 0.0000 4.3195
4.3195 4.3195 0.0000
Ti C
8 4
Direct
0.2318 0.7561 0.7561
0.2439 0.2439 0.2439
0.2439 0.2439 0.7682
0.2439 0.7682 0.2439
0.7561 0.2318 0.7561
0.7561 0.7561 0.2318
0.7561 0.7561 0.7561
0.7682 0.2439 0.2439
0.0000 0.0000 0.0000
0.0000 0.0000 0.5000
0.0000 0.5000 0.0000
0.5000 0.0000 0.0000
```

## Properties
Formation energy from the elements   -62.1 kJ per mole of atoms
Space group   Fd-3m (227)
Raw total energy   -8.98 eV per atom

---

Question: Number 6 is which compound?
Answer: Ho2MgSe4

---

Question: Which of these has the highest formation energy from the elements?
Answer: ZrB2Mo3C2